Entry 1:
Computed, not measured: a relaxed structure of LaFeO3 at the GGA+U level of DFT.

Output
crystal system = orthorhombic
ΔE_f = -12.81 eV/f.u.

a b c (Å): 5.662 6.453 9.124
angles (deg): 90.00 90.00 90.00
Sites, in units of the cell vectors:
La  0.501  0.752  0.749
La  0.001  0.248  0.751
La  0.001  0.248  0.249
La  0.501  0.752  0.251
Fe  0.496  0.184  0.500
Fe  0.507  0.329  0.000
Fe  0.007  0.671  0.500
Fe  0.996  0.816  0.000
O  0.146  0.919  0.165
O  0.330  0.707  0.500
O  0.850  0.577  0.665
O  0.646  0.081  0.665
O  0.646  0.081  0.335
O  0.850  0.577  0.335
O  0.350  0.423  0.835
O  0.671  0.787  0.000
O  0.830  0.293  0.000
O  0.171  0.213  0.500
O  0.350  0.423  0.165
O  0.146  0.919  0.835


Entry 2:
Computed, not measured: a relaxed structure of Li4V5P6O22 at the GGA+U level of DFT.

Output
crystal system = monoclinic
ΔE_f = -96.41 eV/f.u.

a b c (Å): 6.674 10.866 12.812
angles (deg): 76.27 90.00 90.00
Sites, in units of the cell vectors:
Li  0.854  0.443  0.185
Li  0.646  0.943  0.185
Li  0.476  0.120  0.345
Li  0.024  0.620  0.345
Li  0.976  0.380  0.655
Li  0.524  0.880  0.655
Li  0.354  0.057  0.815
Li  0.146  0.557  0.815
V  0.500  0.500  0.000
V  0.245  0.218  0.132
V  0.000  0.000  0.000
V  0.255  0.718  0.132
V  0.016  0.197  0.336
V  0.484  0.697  0.336
V  0.516  0.303  0.664
V  0.984  0.803  0.664
V  0.745  0.282  0.868
V  0.755  0.782  0.868
P  0.739  0.223  0.092
P  0.761  0.723  0.092
P  0.395  0.433  0.265
P  0.105  0.933  0.265
P  0.723  0.418  0.417
P  0.777  0.918  0.417
P  0.223  0.082  0.583
P  0.277  0.582  0.583
P  0.895  0.067  0.735
P  0.605  0.567  0.735
P  0.239  0.277  0.908
P  0.261  0.777  0.908
O  0.778  0.135  0.014
O  0.706  0.353  0.010
O  0.722  0.635  0.014
O  0.794  0.853  0.010
O  0.559  0.169  0.165
O  0.920  0.243  0.163
O  0.552  0.457  0.176
O  0.210  0.057  0.275
O  0.941  0.669  0.165
O  0.580  0.743  0.163
O  0.246  0.330  0.252
O  0.948  0.957  0.176
O  0.290  0.557  0.275
O  0.769  0.064  0.389
O  0.254  0.830  0.252
O  0.879  0.370  0.348
O  0.504  0.376  0.378
O  0.235  0.145  0.464
O  0.731  0.564  0.389
O  0.621  0.870  0.348
O  0.996  0.876  0.378
O  0.265  0.645  0.464
O  0.735  0.355  0.536
O  0.004  0.124  0.622
O  0.379  0.130  0.652
O  0.269  0.436  0.611
O  0.765  0.855  0.536
O  0.496  0.624  0.622
O  0.121  0.630  0.652
O  0.746  0.170  0.748
O  0.231  0.936  0.611
O  0.710  0.443  0.725
O  0.052  0.043  0.824
O  0.754  0.670  0.748
O  0.420  0.257  0.837
O  0.059  0.331  0.835
O  0.790  0.943  0.725
O  0.448  0.543  0.824
O  0.080  0.757  0.837
O  0.441  0.831  0.835
O  0.206  0.147  0.990
O  0.278  0.365  0.986
O  0.294  0.647  0.990
O  0.222  0.865  0.986


Entry 3:
Computed, not measured: a relaxed structure of AlMo3Se2ClO8 at the GGA+U level of DFT.

Output
crystal system = triclinic
polymorph energy (0 for the lowest one) = 0.0 meV/atom
ΔE_f = -20.93 eV/f.u.

a b c (Å): 7.273 6.550 9.752
angles (deg): 93.99 106.38 93.64
Sites, in units of the cell vectors:
Al  0.264  0.267  0.265
Al  0.722  0.736  0.745
Mo  0.507  0.015  0.008
Mo  0.493  0.991  0.499
Mo  0.007  0.991  0.008
Mo  0.734  0.241  0.760
Mo  0.295  0.754  0.241
Mo  0.994  0.996  0.496
Se  0.848  0.410  0.032
Se  0.173  0.577  0.854
Se  0.732  0.437  0.431
Se  0.260  0.557  0.575
Cl  0.260  0.122  0.760
Cl  0.744  0.868  0.244
O  0.307  0.037  0.140
O  0.313  0.485  0.167
O  0.740  0.488  0.613
O  0.642  0.313  0.072
O  0.455  0.752  0.631
O  0.064  0.698  0.534
O  0.705  0.969  0.876
O  0.005  0.238  0.162
O  0.925  0.295  0.457
O  0.990  0.760  0.836
O  0.209  0.033  0.378
O  0.780  0.962  0.622
O  0.361  0.724  0.980
O  0.538  0.246  0.380
O  0.663  0.519  0.841
O  0.270  0.517  0.395


Entry 4:
Computed, not measured: a relaxed structure of Fe3O4F2 at the GGA+U level of DFT.

Output
crystal system = tetragonal
polymorph energy (0 for the lowest one) = 20.9 meV/atom
ΔE_f = -16.03 eV/f.u.

a b c (Å): 4.680 4.680 9.132
angles (deg): 90.00 90.00 90.00
Sites, in units of the cell vectors:
Fe  0.500  0.500  0.681
Fe  0.500  0.500  0.000
Fe  0.500  0.500  0.319
Fe  0.000  0.000  0.819
Fe  0.000  0.000  0.500
Fe  0.000  0.000  0.181
O  0.694  0.306  0.844
O  0.694  0.306  0.156
O  0.806  0.806  0.656
O  0.806  0.806  0.344
O  0.194  0.194  0.656
O  0.194  0.194  0.344
O  0.306  0.694  0.844
O  0.306  0.694  0.156
F  0.689  0.311  0.500
F  0.811  0.811  0.000
F  0.189  0.189  0.000
F  0.311  0.689  0.500


Entry 5:
Computed, not measured: a relaxed structure of Na4Al3FeSi8O24 at the GGA+U level of DFT.

Output
crystal system = monoclinic
ΔE_f = -122.09 eV/f.u.

a b c (Å): 8.718 5.310 9.457
angles (deg): 75.39 90.00 90.00
Sites, in units of the cell vectors:
Na  0.800  0.500  0.500
Na  0.300  0.000  0.000
Na  0.200  0.000  0.500
Na  0.700  0.500  0.000
Al  0.904  0.000  0.000
Al  0.598  0.000  0.500
Al  0.096  0.500  0.000
Fe  0.403  0.500  0.500
Si  0.088  0.690  0.287
Si  0.594  0.186  0.792
Si  0.088  0.310  0.713
Si  0.594  0.814  0.208
Si  0.906  0.812  0.710
Si  0.407  0.311  0.208
Si  0.906  0.188  0.290
Si  0.407  0.689  0.792
O  0.073  0.768  0.107
O  0.583  0.259  0.611
O  0.073  0.232  0.893
O  0.583  0.741  0.389
O  0.925  0.732  0.890
O  0.426  0.218  0.388
O  0.925  0.268  0.110
O  0.426  0.782  0.612
O  0.006  0.405  0.352
O  0.507  0.904  0.855
O  0.006  0.595  0.648
O  0.507  0.096  0.145
O  0.992  0.095  0.648
O  0.494  0.595  0.149
O  0.992  0.905  0.352
O  0.494  0.405  0.851
O  0.258  0.691  0.355
O  0.762  0.181  0.864
O  0.258  0.309  0.645
O  0.762  0.819  0.136
O  0.739  0.816  0.638
O  0.239  0.320  0.137
O  0.739  0.184  0.362
O  0.239  0.680  0.863


Entry 6:
Computed, not measured: a relaxed structure of Li3Mn2CoO6 at the GGA+U level of DFT.

Output
crystal system = triclinic
polymorph energy (0 for the lowest one) = 29.8 meV/atom
ΔE_f = -23.68 eV/f.u.

a b c (Å): 3.082 6.111 6.476
angles (deg): 102.92 103.32 94.88
Sites, in units of the cell vectors:
Li  0.000  0.500  0.000
Li  0.660  0.834  0.329
Li  0.340  0.166  0.671
Mn  0.678  0.329  0.333
Mn  0.322  0.671  0.667
Co  0.000  0.000  0.000
O  0.467  0.762  0.985
O  0.200  0.084  0.318
O  0.858  0.422  0.653
O  0.533  0.238  0.015
O  0.142  0.578  0.347
O  0.800  0.916  0.682


Entry 7:
Computed, not measured: a relaxed structure of Li9Mn2Co5O16 at the GGA+U level of DFT.

Output
crystal system = triclinic
polymorph energy (0 for the lowest one) = 34.6 meV/atom
ΔE_f = -58.54 eV/f.u.

a b c (Å): 4.999 5.953 9.813
angles (deg): 99.28 93.53 90.56
Sites, in units of the cell vectors:
Li  0.866  0.816  0.249
Li  0.130  0.687  0.749
Li  0.378  0.561  0.244
Li  0.869  0.316  0.248
Li  0.130  0.186  0.752
Li  0.371  0.059  0.244
Li  0.630  0.929  0.756
Li  0.625  0.441  0.757
Li  0.500  0.749  0.000
Mn  0.000  0.000  0.000
Mn  0.251  0.874  0.498
Co  0.747  0.625  0.505
Co  0.001  0.512  0.000
Co  0.249  0.375  0.500
Co  0.500  0.245  0.000
Co  0.753  0.126  0.498
O  0.687  0.049  0.107
O  0.947  0.906  0.614
O  0.157  0.797  0.115
O  0.687  0.501  0.107
O  0.949  0.404  0.618
O  0.193  0.269  0.111
O  0.441  0.144  0.611
O  0.457  0.644  0.625
O  0.058  0.604  0.386
O  0.317  0.445  0.894
O  0.550  0.349  0.386
O  0.039  0.109  0.378
O  0.311  0.992  0.891
O  0.556  0.842  0.382
O  0.843  0.734  0.885
O  0.808  0.209  0.889


Entry 8:
Computed, not measured: a relaxed structure of Li3V3P8O29 at the GGA+U level of DFT.

Output
crystal system = triclinic
polymorph energy (0 for the lowest one) = 12.1 meV/atom
ΔE_f = -108.40 eV/f.u.

a b c (Å): 9.741 9.753 14.321
angles (deg): 90.36 89.92 119.92
Sites, in units of the cell vectors:
Li  0.089  0.324  0.445
Li  0.691  0.920  0.939
Li  0.096  0.776  0.940
Li  0.229  0.907  0.443
Li  0.774  0.687  0.059
Li  0.940  0.959  0.496
V  0.568  0.005  0.746
V  0.437  0.001  0.251
V  0.003  0.433  0.246
V  0.997  0.561  0.749
V  0.434  0.433  0.751
V  0.558  0.565  0.257
P  0.231  0.313  0.154
P  0.087  0.311  0.659
P  0.694  0.776  0.663
P  0.337  0.671  0.868
P  0.329  0.667  0.370
P  0.681  0.908  0.158
P  0.780  0.085  0.338
P  0.090  0.771  0.158
P  0.915  0.226  0.841
P  0.224  0.911  0.658
P  0.312  0.089  0.836
P  0.666  0.334  0.633
P  0.666  0.336  0.135
P  0.305  0.222  0.337
P  0.915  0.691  0.337
P  0.771  0.682  0.844
O  0.207  0.216  0.418
O  0.259  0.344  0.670
O  0.000  0.227  0.926
O  0.086  0.340  0.170
O  0.381  0.475  0.181
O  0.345  0.529  0.820
O  0.539  0.615  0.673
O  0.762  0.757  0.934
O  0.661  0.740  0.167
O  0.186  0.513  0.327
O  0.090  0.472  0.676
O  0.483  0.673  0.326
O  0.343  0.673  0.972
O  0.325  0.664  0.473
O  0.485  0.823  0.827
O  0.101  0.620  0.177
O  0.183  0.665  0.830
O  0.654  0.911  0.671
O  0.799  0.011  0.241
O  0.798  0.002  0.419
O  0.744  0.980  0.066
O  0.519  0.898  0.182
O  0.324  0.815  0.330
O  0.741  0.082  0.836
O  0.382  0.911  0.673
O  0.085  0.741  0.674
O  0.992  0.201  0.745
O  0.016  0.235  0.568
O  0.003  0.798  0.417
O  0.917  0.261  0.336
O  0.618  0.080  0.328
O  0.258  0.917  0.169
O  0.671  0.187  0.677
O  0.473  0.096  0.820
O  0.224  0.994  0.918
O  0.214  0.975  0.565
O  0.210  0.013  0.741
O  0.341  0.083  0.339
O  0.818  0.341  0.180
O  0.907  0.380  0.821
O  0.524  0.184  0.182
O  0.669  0.332  0.032
O  0.671  0.334  0.530
O  0.518  0.330  0.678
O  0.923  0.538  0.328
O  0.814  0.484  0.679
O  0.343  0.261  0.834
O  0.212  0.199  0.241
O  0.236  0.244  0.064
O  0.466  0.381  0.328
O  0.662  0.483  0.175
O  0.621  0.522  0.824
O  0.919  0.661  0.842
O  0.009  0.760  0.067
O  0.987  0.787  0.240
O  0.740  0.652  0.333
O  0.794  0.795  0.581
O  0.793  0.797  0.759


Entry 9:
Computed, not measured: a relaxed structure of Li5Mn3Co2P6O24 at the GGA+U level of DFT.

Output
crystal system = triclinic
ΔE_f = -96.88 eV/f.u.

a b c (Å): 8.308 8.867 8.790
angles (deg): 59.90 59.37 61.85
Sites, in units of the cell vectors:
Li  0.517  0.167  0.156
Li  0.245  0.870  0.647
Li  0.717  0.137  0.330
Li  0.703  0.823  0.152
Li  0.717  0.330  0.813
Mn  0.070  0.642  0.645
Mn  0.436  0.849  0.860
Mn  0.947  0.346  0.347
Co  0.000  0.015  0.997
Co  0.496  0.497  0.498
P  0.257  0.252  0.541
P  0.250  0.945  0.243
P  0.262  0.547  0.944
P  0.759  0.453  0.044
P  0.776  0.038  0.744
P  0.737  0.750  0.467
O  0.068  0.096  0.300
O  0.074  0.508  0.109
O  0.073  0.328  0.490
O  0.210  0.090  0.734
O  0.443  0.187  0.392
O  0.282  0.398  0.571
O  0.232  0.929  0.081
O  0.260  0.752  0.408
O  0.576  0.604  0.018
O  0.275  0.585  0.742
O  0.783  0.267  0.044
O  0.598  0.987  0.795
O  0.442  0.974  0.185
O  0.236  0.744  0.926
O  0.740  0.412  0.251
O  0.447  0.400  0.967
O  0.746  0.240  0.595
O  0.780  0.053  0.913
O  0.706  0.614  0.425
O  0.540  0.818  0.613
O  0.787  0.908  0.275
O  0.899  0.660  0.546
O  0.945  0.507  0.895
O  0.969  0.902  0.673